The following is a DFT calculation (PBE-GGA) of an optimized crystal structure of Na2LaScSiS2O12.

a = 9.2523 Å, b = 9.2583 Å, c = 23.8102 Å
α = 90.38°, β = 89.61°, γ = 119.91°
Last column: nearest neighbours and their distance in Å.
Fractional positions:
Na  0.0022  0.6292  0.2549  3 O 2.38-2.61
Na  0.3792  0.0073  0.7457  3 O 2.37-2.56
Na  0.6578  0.9689  0.5945  4 O 2.34-2.58
Na  0.0302  0.3398  0.0983  4 O 2.32-2.51
Na  0.9880  0.6791  0.9281  5 O 2.40-2.60
Na  0.3184  0.0130  0.4206  5 O 2.52-2.62
Na  0.0147  0.9816  0.5016  3 O 2.53-2.71
Na  0.0200  0.9788  0.0014  3 O 2.41-2.66
Na  0.6574  0.2962  0.8324  2 O 2.35-2.56
Na  0.6909  0.3397  0.3362  5 O 2.52-2.73
Na  0.3290  0.6559  0.1711  4 O 2.49-2.64
Na  0.3399  0.6722  0.6653  3 O 2.35-2.62
La  0.9933  0.0098  0.8432  4 O 2.19-2.43
La  0.0015  0.9916  0.1587  6 O 2.29-2.44
La  0.6502  0.3211  0.9840  6 O 2.28-2.49
La  0.3333  0.6907  0.0213  2 O 2.16-2.30
La  0.3120  0.6705  0.5158  2 O 2.17-2.27
La  0.3563  0.6843  0.8105  3 O 2.19-2.34
Sc  0.9900  0.0057  0.3482  4 O 1.97-2.18
Sc  0.0039  0.9967  0.6456  5 O 2.01-2.21
Sc  0.6642  0.3226  0.6808  4 O 1.92-2.14
Sc  0.6848  0.3426  0.1886  3 O 1.93-2.13
Sc  0.6685  0.3428  0.4828  4 O 2.02-2.20
Sc  0.3044  0.6429  0.3204  3 O 1.95-2.16
Si  0.0010  0.3031  0.2494  4 O 1.63-1.67
Si  0.7053  0.0108  0.7388  4 O 1.63-1.66
Si  0.3744  0.0541  0.5819  4 O 1.64-1.67
Si  0.9593  0.6282  0.0851  4 O 1.63-1.67
Si  0.3259  0.9763  0.9097  4 O 1.63-1.65
Si  0.0191  0.6711  0.4126  4 O 1.64-1.66
S  0.3102  0.9967  0.2573  4 O 1.48-1.50
S  0.6898  0.6930  0.2555  4 O 1.47-1.51
S  0.3045  0.2947  0.7409  4 O 1.48-1.49
S  0.9892  0.6966  0.7437  4 O 1.47-1.50
S  0.9466  0.3210  0.5839  4 O 1.47-1.50
S  0.6774  0.6278  0.5851  4 O 1.47-1.51
S  0.6700  0.0415  0.0910  4 O 1.48
S  0.3684  0.3359  0.0909  4 O 1.47-1.50
S  0.6428  0.6668  0.9174  4 O 1.47-1.49
S  0.0355  0.3683  0.9180  4 O 1.47-1.50
S  0.6327  0.9681  0.4151  4 O 1.48-1.51
S  0.3321  0.3605  0.4137  4 O 1.47-1.50
O  0.2205  0.0199  0.3054  1 S 1.49
O  0.8153  0.7867  0.3002  1 S 1.50
O  0.9823  0.1699  0.2979  1 Si 1.64
O  0.2433  0.2064  0.7954  1 S 1.49
O  0.9699  0.7579  0.7994  1 S 1.48
O  0.7914  0.0200  0.7990  1 Si 1.63
O  0.8136  0.9985  0.6861  1 Si 1.64
O  0.1929  0.1906  0.6954  1 S 1.48
O  0.0109  0.8195  0.6995  1 S 1.49
O  0.7484  0.7832  0.2014  1 S 1.48
O  0.0280  0.2404  0.1882  1 Si 1.63
O  0.2036  0.9524  0.2060  1 S 1.50
O  0.8654  0.3394  0.6347  1 S 1.47
O  0.4914  0.1478  0.6367  1 Si 1.64
O  0.6672  0.5310  0.6351  1 S 1.47
O  0.8458  0.5106  0.1390  1 Si 1.67
O  0.6615  0.1418  0.1380  1 S 1.48
O  0.4662  0.3286  0.1382  1 S 1.47
O  0.4402  0.3264  0.0362  1 S 1.48
O  0.8750  0.5447  0.0244  1 Si 1.64
O  0.6712  0.1176  0.0364  1 S 1.48
O  0.4712  0.1617  0.5247  1 Si 1.66
O  0.6920  0.5460  0.5331  1 S 1.49
O  0.8502  0.3132  0.5331  1 S 1.49
O  0.5507  0.6629  0.9685  1 S 1.47
O  0.1245  0.4492  0.9707  1 S 1.48
O  0.3130  0.8594  0.9638  1 Si 1.65
O  0.5739  0.8773  0.4694  1 S 1.49
O  0.3063  0.4299  0.4663  1 S 1.47
O  0.1504  0.7262  0.4657  1 Si 1.65
O  0.1153  0.6384  0.3591  1 Si 1.66
O  0.5151  0.8720  0.3695  1 S 1.48
O  0.3534  0.4706  0.3658  1 S 1.48
O  0.1337  0.4629  0.8683  1 S 1.48
O  0.3325  0.8850  0.8508  1 Si 1.65
O  0.5486  0.6580  0.8665  1 S 1.48
O  0.0102  0.8419  0.4007  1 Si 1.65
O  0.8032  0.9965  0.4042  1 S 1.49
O  0.1850  0.1890  0.4051  1 S 1.50
O  0.0046  0.1960  0.9179  1 S 1.47
O  0.1478  0.9746  0.9136  1 Si 1.64
O  0.8086  0.8214  0.9178  1 S 1.49
O  0.9520  0.1620  0.5857  1 S 1.50
O  0.1848  0.0257  0.5892  1 Si 1.65
O  0.8290  0.7998  0.5878  1 S 1.51
O  0.9892  0.8175  0.0880  1 Si 1.63
O  0.8279  0.0366  0.0922  1 S 1.48
O  0.1940  0.1914  0.0908  1 S 1.50
O  0.6760  0.1735  0.7379  1 Si 1.66
O  0.4743  0.3169  0.7344  1 S 1.49
O  0.8429  0.5321  0.7338  1 S 1.47
O  0.6840  0.5277  0.2500  1 S 1.51
O  0.8365  0.3322  0.2472  1 Si 1.67
O  0.4728  0.1487  0.2483  1 S 1.48
O  0.6740  0.5239  0.9147  1 S 1.49
O  0.8740  0.3683  0.9156  1 S 1.50
O  0.4916  0.1600  0.9114  1 Si 1.63
O  0.6382  0.1335  0.4200  1 S 1.51
O  0.4827  0.3397  0.4180  1 S 1.50
O  0.8402  0.5029  0.4260  1 Si 1.64
O  0.3581  0.4914  0.0932  1 S 1.49
O  0.1371  0.6253  0.0909  1 Si 1.67
O  0.5245  0.8712  0.0945  1 S 1.48
O  0.3737  0.8731  0.5807  1 Si 1.67
O  0.5289  0.6512  0.5824  1 S 1.50
O  0.1191  0.4645  0.5823  1 S 1.48
O  0.3316  0.8486  0.2668  1 S 1.50
O  0.5243  0.6696  0.2685  1 S 1.47
O  0.1627  0.4934  0.2603  1 Si 1.67
O  0.3136  0.4583  0.7416  1 S 1.48
O  0.1455  0.6858  0.7430  1 S 1.50
O  0.5136  0.8469  0.7371  1 Si 1.66

Summary:
energy of formation from the pure elements = -52.3 eV/f.u.

=====

The following is a DFT calculation (PBE-GGA) of an optimized crystal structure of NaUBO5.

a = 5.9279 Å, b = 6.9011 Å, c = 10.8206 Å
α = 90.00°, β = 90.00°, γ = 90.00°
Last column: nearest neighbours and their distance in Å.
Fractional positions:
Na  0.6024  0.0000  0.2500  4 O 2.41-2.43
Na  0.3976  0.5000  0.7500  4 O 2.41-2.43
Na  0.6024  0.5000  0.2500  4 O 2.41-2.43
Na  0.3976  0.0000  0.7500  4 O 2.41-2.43
U  0.9025  0.7500  0.5676  2 O 1.84-1.86
U  0.0975  0.2500  0.4324  2 O 1.84-1.86
U  0.9025  0.2500  0.9324  2 O 1.84-1.86
U  0.0975  0.7500  0.0676  2 O 1.84-1.86
B  0.1962  0.7500  0.3514  3 O 1.38-1.39
B  0.8038  0.2500  0.6486  3 O 1.38-1.39
B  0.8038  0.7500  0.8514  3 O 1.38-1.39
B  0.1962  0.2500  0.1486  3 O 1.38-1.39
O  0.8719  0.0824  0.5886  1 B 1.39
O  0.8719  0.5824  0.9114  1 B 1.39
O  0.1527  0.7500  0.6712  1 U 1.86
O  0.6591  0.2500  0.0380  1 U 1.84
O  0.1281  0.0824  0.0886  1 B 1.39
O  0.6866  0.7500  0.7416  1 B 1.38
O  0.1281  0.9176  0.4114  1 B 1.39
O  0.3134  0.2500  0.2584  1 B 1.38
O  0.6591  0.7500  0.4620  1 U 1.84
O  0.8473  0.7500  0.1712  1 U 1.86
O  0.3409  0.2500  0.5380  1 U 1.84
O  0.1281  0.5824  0.4114  1 B 1.39
O  0.3134  0.7500  0.2416  1 B 1.38
O  0.8719  0.4176  0.5886  1 B 1.39
O  0.1527  0.2500  0.8288  1 U 1.86
O  0.6866  0.2500  0.7584  1 B 1.38
O  0.1281  0.4176  0.0886  1 B 1.39
O  0.3409  0.7500  0.9620  1 U 1.84
O  0.8719  0.9176  0.9114  1 B 1.39
O  0.8473  0.2500  0.3288  1 U 1.86

Summary:
energy of formation from the pure elements = -25.3 eV/f.u.

=====

The following is a DFT calculation (PBE-GGA) of an optimized crystal structure of SrEuZrSbO6.

a = 5.9566 Å, b = 5.9566 Å, c = 5.9566 Å
α = 60.00°, β = 60.00°, γ = 60.00°
Last column: nearest neighbours and their distance in Å.
Fractional positions:
Sr  0.7500  0.7500  0.7500  12 O 2.98
Eu  0.2500  0.2500  0.2500  12 O 2.98
Zr  0.5000  0.5000  0.5000  6 O 2.10
Sb  0.0000  0.0000  0.0000  6 O 2.12
O  0.7488  0.2512  0.2512  1 Zr 2.10, 1 Sb 2.12
O  0.2512  0.7488  0.7488  1 Zr 2.10, 1 Sb 2.12
O  0.7488  0.2512  0.7488  1 Zr 2.10, 1 Sb 2.12
O  0.2512  0.7488  0.2512  1 Zr 2.10, 1 Sb 2.12
O  0.7488  0.7488  0.2512  1 Zr 2.10, 1 Sb 2.12
O  0.2512  0.2512  0.7488  1 Zr 2.10, 1 Sb 2.12

Summary:
energy of formation from the pure elements = -29.1 eV/f.u.

=====

The following is a DFT calculation (PBE-GGA) of an optimized crystal structure of Eu2GaHg.

a = 5.4321 Å, b = 5.4321 Å, c = 5.4321 Å
α = 60.00°, β = 60.00°, γ = 60.00°
Last column: nearest neighbours and their distance in Å.
Fractional positions:
Eu  0.2500  0.2500  0.2500  4 Ga 3.33, 4 Hg 3.33
Eu  0.7500  0.7500  0.7500  4 Hg 3.33, 4 Ga 3.33
Ga  0.5000  0.5000  0.5000  8 Eu 3.33
Hg  0.0000  0.0000  0.0000  8 Eu 3.33

Summary:
energy of formation from the pure elements = -2.0 eV/f.u.

=====

The following is a DFT calculation (PBE-GGA) of an optimized crystal structure of Ho2Ga9Rh3.

a = 7.5674 Å, b = 7.5674 Å, c = 9.5274 Å
α = 90.00°, β = 90.00°, γ = 119.85°
Last column: nearest neighbours and their distance in Å.
Fractional positions:
Ho  0.9968  0.6676  0.2500  11 Ga 3.02-3.14
Ho  0.0032  0.3324  0.7500  11 Ga 3.02-3.14
Ho  0.6676  0.9968  0.2500  11 Ga 3.02-3.14
Ho  0.3324  0.0032  0.7500  11 Ga 3.02-3.14
Ga  0.1248  0.1248  0.2500  2 Rh 2.56, 6 Ga 2.75-2.77
Ga  0.8752  0.8752  0.7500  2 Rh 2.56, 6 Ga 2.75-2.77
Ga  0.0001  0.3339  0.0788  3 Rh 2.58-2.64, 3 Ga 2.75-2.86
Ga  0.9999  0.6661  0.9212  3 Rh 2.58-2.64, 3 Ga 2.75-2.86
Ga  0.9999  0.6661  0.5788  3 Rh 2.58-2.64, 3 Ga 2.75-2.86
Ga  0.3339  0.0001  0.4212  3 Rh 2.58-2.64, 3 Ga 2.75-2.86
Ga  0.0001  0.3339  0.4212  3 Rh 2.58-2.64, 3 Ga 2.75-2.86
Ga  0.6661  0.9999  0.5788  3 Rh 2.58-2.64, 3 Ga 2.75-2.86
Ga  0.6661  0.9999  0.9212  3 Rh 2.58-2.64, 3 Ga 2.75-2.86
Ga  0.3339  0.0001  0.0788  3 Rh 2.58-2.64, 3 Ga 2.75-2.86
Ga  0.3333  0.3333  0.5631  3 Rh 2.60-2.65, 5 Ga 2.80-2.86
Ga  0.6667  0.6667  0.4369  3 Rh 2.60-2.65, 5 Ga 2.80-2.86
Ga  0.6667  0.6667  0.0631  3 Rh 2.60-2.65, 5 Ga 2.80-2.86
Ga  0.3333  0.3333  0.9369  3 Rh 2.60-2.65, 5 Ga 2.80-2.86
Ga  0.3380  0.5473  0.2500  2 Rh 2.58, 6 Ga 2.74-2.82
Ga  0.6620  0.4527  0.7500  2 Rh 2.58, 6 Ga 2.74-2.82
Ga  0.5473  0.3380  0.2500  2 Rh 2.58, 6 Ga 2.74-2.82
Ga  0.4527  0.6620  0.7500  2 Rh 2.58, 6 Ga 2.74-2.82
Rh  0.6717  0.3283  0.0000  8 Ga 2.58-2.65
Rh  0.3283  0.6717  0.0000  8 Ga 2.58-2.65
Rh  0.3283  0.6717  0.5000  8 Ga 2.58-2.65
Rh  0.6717  0.3283  0.5000  8 Ga 2.58-2.65
Rh  0.0000  0.0000  0.0000  8 Ga 2.56-2.64
Rh  0.0000  0.0000  0.5000  8 Ga 2.56-2.64

Summary:
energy of formation from the pure elements = -9.9 eV/f.u.

=====

Which of these has the lowest energy of formation from the pure elements?
Na2LaScSiS2O12

=====

Number 4 is which compound?
Eu2GaHg

=====

Copy entry 4 word for word.
The following is a DFT calculation (PBE-GGA) of an optimized crystal structure of Eu2GaHg.

a = 5.4321 Å, b = 5.4321 Å, c = 5.4321 Å
α = 60.00°, β = 60.00°, γ = 60.00°
Last column: nearest neighbours and their distance in Å.
Fractional positions:
Eu  0.2500  0.2500  0.2500  4 Ga 3.33, 4 Hg 3.33
Eu  0.7500  0.7500  0.7500  4 Hg 3.33, 4 Ga 3.33
Ga  0.5000  0.5000  0.5000  8 Eu 3.33
Hg  0.0000  0.0000  0.0000  8 Eu 3.33

Summary:
energy of formation from the pure elements = -2.0 eV/f.u.

=====

The lowest energy of formation from the pure elements belongs to which entry?
Na2LaScSiS2O12